Here is crystalline Na6Ca7TiS12O48 at its relaxed geometry from the Materials Project database. Energies are from PBE.

Summary:
calculated total energy = -1398.48 eV for the cell shown

Lattice parameters (Å, degrees): 9.1754 15.8962 23.7556 89.98 89.89 89.93
Space group P1 (No. 1)
Inequivalent atoms, fractional coordinates:
Na: 0.0000 0.0000 0.0000
Na: 0.0006 0.6666 0.6637
Na: 0.0385 0.6772 0.9950
Na: 0.1694 0.8560 0.4160
Na: 0.1705 0.1740 0.7412
Na: 0.1800 0.1789 0.2432
Na: 0.1828 0.4882 0.5813
Na: 0.1911 0.4970 0.0750
Na: 0.2009 0.8373 0.9101
Na: 0.3194 0.6784 0.4982
Na: 0.3631 0.3322 0.8266
Na: 0.6584 0.0162 0.0802
Na: 0.6622 0.6724 0.7490
Na: 0.6661 0.0020 0.5766
Na: 0.6688 0.3565 0.4167
Na: 0.6793 0.6770 0.2436
Na: 0.7028 0.3529 0.9198
Na: 0.8205 0.1772 0.4972
Ca: 0.1730 0.5067 0.4298
Ca: 0.1765 0.1740 0.8947
Ca: 0.1790 0.8586 0.5664
Ca: 0.1814 0.5078 0.9279
Ca: 0.1807 0.8438 0.2609
Ca: 0.1809 0.8439 0.7634
Ca: 0.1835 0.1828 0.0975
Ca: 0.1839 0.5106 0.7307
Ca: 0.1886 0.1791 0.3893
Ca: 0.1898 0.1773 0.5971
Ca: 0.1912 0.8438 0.0727
Ca: 0.6693 0.0139 0.9300
Ca: 0.6732 0.6782 0.0977
Ca: 0.6750 0.0069 0.4286
Ca: 0.6754 0.3468 0.5661
Ca: 0.6763 0.6809 0.8944
Ca: 0.6767 0.6791 0.5941
Ca: 0.6785 0.3452 0.0673
Ca: 0.6809 0.3443 0.2614
Ca: 0.6882 0.6782 0.3900
Ca: 0.6910 0.3486 0.7588
Ti: 0.1801 0.5114 0.2301
Ti: 0.6792 0.0122 0.7307
Ti: 0.6814 0.0123 0.2308
S: 0.0120 0.9991 0.1647
S: 0.0260 0.3243 0.4958
S: 0.0270 0.6665 0.8297
S: 0.0304 0.0306 0.4938
S: 0.0317 0.3566 0.8290
S: 0.0334 0.6830 0.1650
S: 0.3207 0.3667 0.3234
S: 0.3241 0.0244 0.9980
S: 0.3260 0.6536 0.3259
S: 0.3265 0.6937 0.6590
S: 0.3387 0.3288 0.9924
S: 0.3495 0.9981 0.6682
S: 0.3715 0.3437 0.6665
S: 0.3712 0.6809 0.9961
S: 0.3915 0.0137 0.3229
S: 0.4874 0.1791 0.4944
S: 0.4872 0.5094 0.8285
S: 0.4977 0.8529 0.1681
S: 0.5119 0.4979 0.1677
S: 0.5241 0.8270 0.4946
S: 0.5303 0.1567 0.8226
S: 0.5297 0.5285 0.4932
S: 0.5351 0.1843 0.1678
S: 0.5391 0.8676 0.8241
S: 0.8216 0.8665 0.3232
S: 0.8274 0.1540 0.3260
S: 0.8286 0.1816 0.6645
S: 0.8304 0.5290 0.9966
S: 0.8374 0.5016 0.6614
S: 0.8367 0.8294 0.9979
S: 0.8700 0.8517 0.6667
S: 0.8784 0.1772 0.9971
S: 0.8917 0.5139 0.3231
S: 0.9648 0.0137 0.8258
S: 0.9885 0.6814 0.4982
S: 0.9938 0.3528 0.1676
O: 0.9998 0.5131 0.2739
O: 0.0006 0.8345 0.0016
O: 0.0280 0.9543 0.1100
O: 0.0506 0.0917 0.8205
O: 0.0566 0.9387 0.8195
O: 0.0672 0.2765 0.4447
O: 0.0669 0.4036 0.8806
O: 0.0697 0.7408 0.2107
O: 0.0713 0.0852 0.1619
O: 0.0707 0.6219 0.7772
O: 0.0720 0.0770 0.5451
O: 0.0743 0.6201 0.8808
O: 0.0770 0.2814 0.5473
O: 0.0798 0.9513 0.2103
O: 0.0820 0.0737 0.4425
O: 0.0831 0.4025 0.7786
O: 0.0852 0.7575 0.4975
O: 0.0858 0.4110 0.4948
O: 0.0872 0.6062 0.4953
O: 0.0883 0.4313 0.1767
O: 0.0908 0.9437 0.4949
O: 0.0927 0.7139 0.1103
O: 0.0958 0.2811 0.1626
O: 0.0980 0.7512 0.8314
O: 0.1061 0.5983 0.1763
O: 0.1139 0.2745 0.8291
O: 0.2462 0.2844 0.3191
O: 0.2464 0.9412 0.0007
O: 0.2484 0.6113 0.6614
O: 0.2594 0.7373 0.3201
O: 0.2657 0.4205 0.2742
O: 0.2691 0.4137 0.9945
O: 0.2702 0.5976 0.2777
O: 0.2710 0.7563 0.9981
O: 0.2724 0.0662 0.9458
O: 0.2738 0.6053 0.9950
O: 0.2762 0.2680 0.6656
O: 0.2763 0.7362 0.6062
O: 0.2793 0.4205 0.6627
O: 0.2810 0.6162 0.3799
O: 0.2838 0.2796 0.0406
O: 0.2840 0.7448 0.7083
O: 0.2839 0.9542 0.7160
O: 0.2854 0.0737 0.0482
O: 0.2846 0.4096 0.3761
O: 0.2906 0.0839 0.6638
O: 0.2971 0.9394 0.3186
O: 0.3030 0.2867 0.9379
O: 0.3067 0.0924 0.3184
O: 0.3352 0.9509 0.6150
O: 0.3470 0.5063 0.1775
O: 0.3604 0.8312 0.4960
O: 0.3662 0.5247 0.4923
O: 0.3687 0.1617 0.8201
O: 0.3768 0.1693 0.1628
O: 0.3795 0.8598 0.8208
O: 0.3922 0.5049 0.8787
O: 0.3975 0.1758 0.5453
O: 0.3984 0.1817 0.4428
O: 0.3990 0.5141 0.7767
O: 0.3991 0.8416 0.2159
O: 0.4168 0.8685 0.1153
O: 0.4544 0.3434 0.7203
O: 0.4595 0.6864 0.9443
O: 0.4619 0.6784 0.0470
O: 0.4720 0.3432 0.6178
O: 0.4734 0.0099 0.3757
O: 0.4795 0.3575 0.3190
O: 0.4842 0.0111 0.9964
O: 0.4857 0.6806 0.6591
O: 0.4865 0.6575 0.3208
O: 0.5000 0.3379 0.9962
O: 0.5007 0.0131 0.2739
O: 0.5143 0.0064 0.6780
O: 0.5293 0.4490 0.1154
O: 0.5650 0.7779 0.4441
O: 0.5657 0.2374 0.2163
O: 0.5683 0.5773 0.5439
O: 0.5692 0.5845 0.1627
O: 0.5744 0.4292 0.8281
O: 0.5756 0.7852 0.5462
O: 0.5773 0.4555 0.2160
O: 0.5779 0.9097 0.8768
O: 0.5802 0.1181 0.8750
O: 0.5828 0.1026 0.7734
O: 0.5831 0.5710 0.4417
O: 0.5849 0.5835 0.8303
O: 0.5850 0.9135 0.4933
O: 0.5861 0.2545 0.4951
O: 0.5871 0.1037 0.4943
O: 0.5898 0.2425 0.8170
O: 0.5908 0.4420 0.4957
O: 0.5913 0.9226 0.7750
O: 0.5910 0.9311 0.1773
O: 0.5975 0.7804 0.1634
O: 0.5994 0.2178 0.1154
O: 0.6066 0.0977 0.1771
O: 0.6107 0.7851 0.8188
O: 0.7471 0.7843 0.3191
O: 0.7573 0.0958 0.6768
O: 0.7610 0.2374 0.3204
O: 0.7667 0.9208 0.2744
O: 0.7705 0.2105 0.6098
O: 0.7700 0.9261 0.6777
O: 0.7711 0.0977 0.2778
O: 0.7711 0.4423 0.0002
O: 0.7750 0.5891 0.6614
O: 0.7770 0.5706 0.9450
O: 0.7791 0.7879 0.0485
O: 0.7800 0.7749 0.6605
O: 0.7814 0.2514 0.0009
O: 0.7809 0.9177 0.9944
O: 0.7824 0.1161 0.3799
O: 0.7862 0.9092 0.3761
O: 0.7882 0.4590 0.7130
O: 0.7896 0.0973 0.9960
O: 0.7903 0.5788 0.0470
O: 0.7912 0.2391 0.7103
O: 0.7939 0.4544 0.6109
O: 0.7974 0.4396 0.3192
O: 0.8015 0.7810 0.9467
O: 0.8068 0.5929 0.3186
O: 0.8484 0.0066 0.1761
O: 0.8517 0.0144 0.7778
O: 0.8621 0.3276 0.4971
O: 0.8661 0.6761 0.8292
O: 0.8666 0.0270 0.4934
O: 0.8727 0.3412 0.8272
O: 0.8747 0.6691 0.1620
O: 0.8866 0.0103 0.8798
O: 0.8898 0.6838 0.4494
O: 0.8989 0.3412 0.2164
O: 0.9070 0.6780 0.5522
O: 0.9107 0.3676 0.1155
O: 0.9514 0.8703 0.6144
O: 0.9653 0.1816 0.9447
O: 0.9688 0.8389 0.7145
O: 0.9736 0.5109 0.3758
O: 0.9746 0.1702 0.0467
O: 0.9804 0.8575 0.3185
O: 0.9875 0.1670 0.6623
O: 0.9876 0.1571 0.3207
O: 0.9943 0.5261 0.9951
O: 0.9994 0.5122 0.6611